Entry 1:
44
Lattice="5.2308 0.0000 0.0000 0.0000 6.2564 0.0000 -0.6328 0.0000 18.1399" Properties=species:S:1:pos:R:3 comment="PBE+U NaMnPCO7, optimized geometry" volume_a3_per_atom=13.49 formation_enthalpy_0k_mev_per_atom=-2174 pbc="T T T"
Na 1.1880 0.1886 2.3698
Na 0.8716 2.9396 11.4398
Na 3.7264 3.3169 6.7001
Na 3.4100 6.0678 15.7700
Mn 0.8682 1.5445 7.6411
Mn 0.5518 1.5837 16.7110
Mn 4.0461 4.6728 1.4289
Mn 3.7297 4.7119 10.4988
P 1.1758 4.6834 8.4664
P 0.8594 4.7013 17.5363
P 3.7386 1.5552 0.6035
P 3.4222 1.5731 9.6735
C 0.9157 1.5233 14.3126
C 1.2321 1.6049 5.2427
C 3.3658 4.6515 12.8972
C 3.6822 4.7331 3.8272
O -0.2699 1.5427 14.8965
O 0.0465 1.5856 5.8266
O 0.3264 4.6104 9.7461
O 0.6428 4.7743 0.6761
O 0.5460 3.4815 16.6556
O 0.8624 5.9032 7.5857
O 0.8689 3.4951 7.5016
O 0.5525 5.8895 16.5716
O 1.1153 1.4891 13.1012
O 1.4317 1.6392 4.0313
O 2.2318 1.4976 0.2169
O 1.9154 1.6307 9.2869
O 1.8745 1.5492 15.2349
O 2.1909 1.5791 6.1650
O 2.4070 4.6774 11.9749
O 2.7234 4.7073 2.9050
O 2.6825 4.6258 8.8530
O 2.3661 4.7589 17.9230
O 3.1663 4.6173 14.1086
O 3.4827 4.7674 5.0387
O 4.0455 0.3669 1.5683
O 3.7291 2.7613 10.6383
O 3.7356 0.3533 10.5542
O 4.0520 2.7750 1.4843
O 3.9551 1.4822 17.4637
O 4.2715 1.6461 8.3938
O 4.5515 4.6709 12.3133
O 4.8679 4.7138 3.2434

Entry 2:
48
Lattice="6.7277 0.0000 0.0000 -0.0414 10.2147 0.0000 -0.0214 -5.1033 9.0986" Properties=species:S:1:pos:R:3 comment="PBE+U Na2MnPCO7, optimized geometry" volume_a3_per_atom=13.03 formation_enthalpy_0k_mev_per_atom=-2305 pbc="T T T"
Na 0.0000 0.0000 0.0000
Na 6.6964 2.4812 4.3771
Na 0.0407 7.7141 4.4080
Na 3.1164 -0.1109 8.9705
Na 3.3145 7.6873 4.3692
Na 3.4323 0.0052 0.0027
Na 3.4087 2.4873 4.3784
Na 5.1532 2.3885 7.4706
Mn 1.6951 2.0000 1.5486
Mn 1.6836 4.5083 6.0995
Mn 5.0837 5.6391 2.7122
Mn 5.1101 -1.9706 7.3582
P 1.7058 -2.7120 7.2599
P 1.6969 4.9641 2.7895
P 5.0496 2.6812 1.5681
P 5.0396 5.2455 6.1535
C 1.7018 -0.0228 3.0453
C 1.6942 2.5429 7.6169
C 5.0151 7.6476 1.2051
C 5.0393 0.0290 5.8134
O 0.4277 -1.8824 7.0571
O 0.4302 5.8396 2.7388
O 1.6788 -3.5142 8.5953
O 1.6838 1.1741 3.5661
O 1.6979 0.0101 1.7137
O 1.6706 2.5333 6.2782
O 1.6630 3.7769 8.0851
O 1.7222 -1.0903 3.6854
O 1.7006 4.1119 4.1013
O 1.7360 3.9378 1.5948
O 1.7373 1.5143 8.2979
O 1.7306 6.4612 6.0584
O 2.9648 -1.8249 7.1813
O 2.9593 5.8492 2.7065
O 3.8047 1.7768 1.7292
O 3.8184 4.3047 6.2977
O 4.9347 6.4798 0.6617
O 4.9832 3.5059 0.2746
O 5.0267 -0.0062 7.1386
O 5.0430 1.1606 5.2373
O 5.0569 -1.1251 5.2433
O 5.0412 8.7263 0.5346
O 5.0380 6.0574 4.8398
O 5.0765 -3.9528 7.3773
O 5.0632 3.6872 2.8089
O 5.0832 7.6318 2.5289
O 6.2751 4.3198 6.2863
O 6.3190 1.8086 1.6638

Entry 3:
50
Lattice="6.6349 0.0000 0.0000 -0.0480 9.0743 0.0000 -0.0453 -0.1666 10.5259" Properties=species:S:1:pos:R:3 comment="PBE+U Na5Mn2P2C2O14, optimized geometry" volume_a3_per_atom=12.67 formation_enthalpy_0k_mev_per_atom=-2331 pbc="T T T"
Na 0.0000 0.0000 0.0000
Na -0.0212 -0.0768 5.1198
Na 1.5904 7.4106 2.4695
Na 1.6806 7.4604 7.7308
Na 1.6997 2.9161 10.3134
Na 1.7340 2.9703 5.2145
Na 3.4239 1.3625 2.4245
Na 4.9472 2.9773 5.2283
Na 4.9337 2.9137 10.2929
Na 4.9521 7.4536 7.7595
Mn 0.0192 3.9588 2.3306
Mn 0.0194 3.8743 7.6032
Mn 3.3532 6.5597 5.2030
Mn 3.3876 6.6371 0.0732
P 0.0225 5.9332 4.8707
P -0.0006 5.8811 10.0936
P 3.3308 4.5100 2.7333
P 3.3285 4.4908 7.9998
C 0.0232 1.2103 7.8530
C 0.0656 1.3150 2.5961
C 3.3132 -0.0044 10.2803
C 3.3326 0.0811 4.9692
O 0.0050 2.0281 3.6901
O 0.0230 1.9519 1.4452
O 0.0252 4.6638 0.2589
O 0.0196 1.8369 6.7033
O 0.0108 1.9260 8.9411
O 0.0376 -0.0731 7.8954
O 0.0232 4.5505 5.5648
O 0.0671 5.7219 3.3428
O 0.0548 5.6886 8.5428
O 0.1563 0.0448 2.6202
O 1.2485 6.8097 5.2862
O 1.2271 6.7412 10.5253
O 2.0868 3.6448 7.6228
O 2.1155 3.6106 2.3808
O 3.2099 8.4473 3.8888
O 3.2785 5.8675 2.0265
O 3.2851 8.5434 0.8870
O 3.3170 1.2732 10.3553
O 3.3529 1.3635 4.9321
O 3.3413 4.7366 4.2952
O 3.3226 5.8655 7.2988
O 3.3004 8.3797 9.1952
O 3.3214 4.7032 9.5751
O 3.3558 8.4932 6.1037
O 4.5668 3.6589 2.3482
O 4.5838 3.6615 7.6272
O 5.3852 6.7514 10.4074
O 5.4257 6.7897 5.2954

Entry 4:
50
Lattice="10.3896 0.0000 0.0000 0.0000 6.7027 0.0000 -5.1770 0.0000 9.1559" Properties=species:S:1:pos:R:3 comment="PBE+U Na5Mn2P2C2O14, optimized geometry" volume_a3_per_atom=12.75 formation_enthalpy_0k_mev_per_atom=-2336 pbc="T T T"
Na 0.0790 1.6757 1.6056
Na 0.1153 3.3569 4.6177
Na 2.6780 3.4183 0.0828
Na 2.6780 6.6358 0.0828
Na 0.1153 6.6971 4.6177
Na 5.0973 0.0056 4.5382
Na 2.5346 0.0669 9.0732
Na 2.5346 3.2844 9.0732
Na 5.0973 3.3458 4.5382
Na 5.1336 5.0270 7.5503
Mn -3.1243 1.6757 6.2520
Mn 0.5527 5.0270 7.5111
Mn 4.6599 1.6757 1.6448
Mn 8.3369 5.0270 2.9040
P -2.4383 5.0270 6.3134
P -0.1369 1.6757 7.4223
P 5.3494 5.0270 1.7337
P 7.6508 1.6757 2.8425
C 0.0493 5.0270 1.2967
C 2.5191 1.6757 3.1628
C 2.6935 5.0270 5.9931
C 5.1633 1.6757 7.8592
O -3.3780 3.7890 6.4057
O -3.3780 6.2651 6.4057
O -4.0440 1.6757 8.4170
O -1.5678 5.0270 5.0368
O 1.1092 5.0270 0.5711
O 0.0891 5.0270 2.6024
O -1.0597 1.6757 6.1477
O -1.4852 5.0270 7.5723
O 1.3835 1.6757 3.7453
O 2.5483 1.6757 1.8344
O -1.0261 1.6757 8.6924
O 1.5484 5.0270 5.4062
O 0.7668 0.4116 7.3830
O 0.7668 2.9397 7.3830
O 4.4457 3.7630 1.7729
O 4.4457 6.2911 1.7729
O 3.6642 1.6757 3.7498
O 6.2386 5.0270 0.4635
O 2.6643 5.0270 7.3216
O 3.8291 5.0270 5.4106
O 6.6978 1.6757 1.5836
O 6.2722 5.0270 3.0082
O 5.1235 1.6757 6.5535
O 4.1033 1.6757 8.5848
O 6.7804 1.6757 4.1191
O 9.2565 5.0270 0.7389
O 8.5906 0.4376 2.7502
O 8.5906 2.9137 2.7502

Entry 5:
48
Lattice="5.1945 0.0000 0.0000 -0.0158 6.6763 0.0000 -0.3789 -0.1934 17.8977" Properties=species:S:1:pos:R:3 comment="PBE+U Na2MnPCO7, optimized geometry" volume_a3_per_atom=12.93 formation_enthalpy_0k_mev_per_atom=-2303 pbc="T T T"
Na 0.0000 0.0000 0.0000
Na -0.1888 -0.0894 9.0102
Na 5.1847 3.2275 0.0043
Na -0.0593 4.7333 5.9874
Na 2.2263 6.4238 13.5887
Na 2.2484 3.1897 13.5844
Na 2.4580 6.5329 4.4799
Na 4.9846 3.0930 9.0060
Mn -0.1417 1.4824 12.5738
Mn 0.0869 1.6502 3.6830
Mn 2.3895 4.9539 0.9741
Mn 2.2092 4.8301 9.9562
P 2.7264 1.6039 1.6235
P 2.5777 1.4929 10.5671
P 4.6697 4.8219 11.9579
P 4.8594 4.9377 2.9863
C 2.3279 4.7686 16.4057
C 2.5400 4.8896 7.3778
C 4.7247 1.4539 15.0556
C 4.9477 1.5237 6.1010
O -0.0475 3.6944 3.8432
O 0.0081 6.1421 3.9034
O -0.1512 3.5632 12.7670
O -0.1508 6.0766 12.7719
O 0.1589 4.8285 10.5638
O 0.4408 4.9503 1.6505
O 0.6779 1.4730 14.3747
O 0.9259 1.5736 5.5000
O 1.1750 4.7508 17.0656
O 1.3998 4.8456 8.0673
O 1.9090 1.5400 2.9354
O 1.8548 1.4860 11.9334
O 2.4081 2.8681 0.8000
O 2.2342 0.2324 9.7377
O 2.2302 2.7564 9.7430
O 2.4364 0.3667 0.7423
O 2.5317 4.9689 6.1209
O 2.3814 4.7981 15.1531
O 3.0968 4.8245 11.7268
O 3.3328 5.0190 2.6383
O 3.3638 4.7546 17.1983
O 3.6240 4.8435 8.1005
O 3.6854 1.4653 14.2680
O 3.9512 1.5399 5.2524
O 4.2638 1.5989 1.9835
O 4.1411 1.4926 10.8293
O 4.8204 1.4903 7.3546
O 4.6971 1.4274 16.3011

Entry 6:
48
Lattice="8.5186 0.0000 0.0000 -2.1966 8.2459 0.0000 -3.1371 -3.9455 8.9204" Properties=species:S:1:pos:R:3 comment="PBE+U Na2MnPCO7, optimized geometry" volume_a3_per_atom=13.05 formation_enthalpy_0k_mev_per_atom=-2306 pbc="T T T"
Na 0.0000 0.0000 0.0000
Na -1.5824 -1.8010 4.5032
Na -2.8143 2.3125 8.7747
Na 1.3335 2.2363 4.3747
Na -0.0746 0.2081 8.7906
Na 1.5554 5.2729 5.8666
Na 5.6225 2.2149 0.0110
Na 4.2703 0.2140 4.4506
Mn 0.2061 3.2846 0.9144
Mn 1.1804 -1.0749 3.5279
Mn 3.4407 7.4686 0.8549
Mn 4.3642 3.1310 3.5279
P -1.3092 1.3054 2.9042
P 2.6673 0.9962 1.5050
P 1.9296 5.5195 2.8867
P 5.8923 5.0967 1.4826
C -3.1206 -0.9549 7.2925
C 1.3382 -0.7149 5.9860
C 0.1287 3.2401 7.3174
C 4.4837 3.4112 5.9866
O -3.4346 4.2394 5.1909
O -1.3952 4.5443 0.7036
O -4.0485 3.4689 7.2395
O -2.2155 5.7198 2.8353
O -2.4372 -0.0486 7.9744
O -0.5169 0.2832 3.7279
O -0.3487 2.5258 2.5936
O 1.7461 -0.2640 1.7795
O 1.8349 2.0353 0.6924
O 0.6559 -1.6562 5.3627
O 1.4454 4.9393 1.5397
O 0.1833 3.1662 6.0799
O -0.5219 2.4514 8.1393
O 0.8102 6.1213 3.7603
O 3.8863 0.5559 0.6790
O 1.9710 0.0740 5.1503
O 1.3933 -0.6300 7.2352
O 3.0909 1.6009 2.8704
O 2.6478 4.4647 3.7629
O 0.7895 4.2006 7.9736
O 2.9471 6.7018 2.5783
O 4.9149 3.8804 1.7743
O 3.8272 2.4582 5.3224
O 5.1549 6.1125 0.5924
O 6.8122 0.7232 1.4988
O 5.4015 -1.0003 6.0267
O 4.7220 -1.7962 8.0191
O 5.9545 1.7538 3.6544

Entry 7:
24
Lattice="5.2344 0.0000 0.0000 0.0000 6.6408 0.0000 -0.1981 0.0000 9.0030" Properties=species:S:1:pos:R:3 comment="PBE+U Na2MnPCO7, optimized geometry" volume_a3_per_atom=13.04 formation_enthalpy_0k_mev_per_atom=-2315 pbc="T T T"
Na 1.1638 0.0405 2.3901
Na 1.1638 3.2799 2.3901
Na 3.8726 3.3609 6.6129
Na 3.8726 6.6003 6.6129
Mn 1.0011 1.6602 7.7252
Mn 4.0352 4.9806 1.2778
P 1.3526 4.9806 8.3290
P 3.6837 1.6602 0.6740
C 1.3513 1.6602 5.2120
C 3.6850 4.9806 3.7909
O 0.2080 1.6602 5.8969
O 0.8715 4.9806 0.7145
O 0.9661 3.7279 7.5113
O 0.9661 6.2333 7.5113
O 1.3537 1.6602 3.9603
O 2.1082 1.6602 0.4664
O 2.3977 1.6602 5.9775
O 2.6387 4.9806 3.0255
O 2.9281 4.9806 8.5365
O 3.6827 4.9806 5.0427
O 4.0702 0.4075 1.4917
O 4.0702 2.9129 1.4917
O 4.1648 1.6602 8.2884
O 4.8283 4.9806 3.1060

Entry 8:
48
Lattice="6.7266 0.0000 0.0000 -0.0126 8.8908 0.0000 -0.0536 -0.2507 10.4081" Properties=species:S:1:pos:R:3 comment="PBE+U Na2MnPCO7, optimized geometry" volume_a3_per_atom=12.97 formation_enthalpy_0k_mev_per_atom=-2304 pbc="T T T"
Na 0.0000 0.0000 0.0000
Na 6.6997 -0.0820 5.0492
Na 1.7039 7.1330 7.6336
Na 3.2714 -0.0965 5.0217
Na 3.3006 0.0002 0.0203
Na 3.3632 4.5069 2.5061
Na 6.4302 4.2280 7.6651
Na 6.6408 4.5026 2.4651
Mn 1.6798 3.5955 0.0065
Mn 1.6672 3.4593 5.3152
Mn 4.9592 0.7758 7.5436
Mn 5.0159 0.9117 2.3499
P 1.5881 1.3454 7.9372
P 1.6434 1.5313 2.7431
P 4.9901 2.8754 4.8754
P 4.9666 2.7178 10.1147
C 1.5596 5.8434 10.1478
C 1.5964 5.9657 5.0096
C 4.9948 7.3102 2.6155
C 4.9762 7.1945 7.8241
O 0.3967 0.6968 2.3882
O 0.3742 0.4341 7.6145
O 1.4805 5.1194 9.0808
O 1.5179 2.6992 7.2262
O 1.5836 5.2632 6.1308
O 1.5981 7.2329 5.0851
O 1.6166 5.2615 3.9309
O 1.5861 7.1129 10.1229
O 1.6040 1.6051 9.5058
O 1.6386 2.9146 2.0506
O 1.6371 1.7563 4.3222
O 1.6791 5.4082 0.8664
O 2.8339 0.5015 7.5708
O 2.9016 0.7135 2.3880
O 3.7145 3.6855 5.1340
O 3.7554 3.7542 0.1061
O 4.9304 8.0003 8.8640
O 4.9464 7.8754 6.6746
O 4.9658 1.4905 5.5972
O 4.9950 8.0015 1.4833
O 4.9877 8.0840 3.6667
O 5.0030 6.0617 2.6379
O 5.0266 1.5786 0.4136
O 5.0066 2.4338 8.5674
O 5.0497 2.6004 3.3099
O 5.0377 5.9600 7.8711
O 6.2512 3.6702 5.2576
O 6.2809 3.7812 0.0821